[1]
Material: HOs6C18S2O19
Method: DFT, PBE
State: relaxed

a b c (Å): 9.257 12.287 14.201
angles (deg): 90.23 103.23 98.33
Atoms (fractional coordinates):
H: 0.525 0.580 0.079
H: 0.475 0.420 0.921
Os: 0.805 0.545 0.164
Os: 0.195 0.455 0.836
Os: 0.061 0.997 0.232
Os: 0.939 0.003 0.768
Os: 0.057 0.825 0.392
Os: 0.943 0.175 0.608
Os: 0.611 0.465 0.295
Os: 0.389 0.535 0.705
Os: 0.590 0.694 0.245
Os: 0.410 0.306 0.755
Os: 0.761 0.886 0.183
Os: 0.239 0.114 0.817
C: 0.726 0.412 0.090
C: 0.274 0.588 0.910
C: 0.966 0.477 0.236
C: 0.034 0.523 0.764
C: 0.917 0.604 0.072
C: 0.083 0.396 0.928
C: 0.109 0.947 0.117
C: 0.891 0.053 0.883
C: 0.260 0.067 0.293
C: 0.740 0.933 0.707
C: 0.013 0.131 0.181
C: 0.987 0.869 0.819
C: 0.973 0.788 0.499
C: 0.027 0.212 0.501
C: 0.223 0.921 0.468
C: 0.777 0.079 0.532
C: 0.178 0.710 0.406
C: 0.822 0.290 0.594
C: 0.675 0.323 0.306
C: 0.325 0.677 0.694
C: 0.781 0.527 0.398
C: 0.219 0.473 0.602
C: 0.467 0.444 0.374
C: 0.533 0.556 0.626
C: 0.457 0.428 0.177
C: 0.543 0.572 0.823
C: 0.381 0.650 0.215
C: 0.619 0.350 0.785
C: 0.584 0.741 0.370
C: 0.416 0.259 0.630
C: 0.746 0.844 0.052
C: 0.254 0.156 0.948
C: 0.696 0.020 0.140
C: 0.304 0.980 0.860
C: 0.538 0.849 0.190
C: 0.462 0.151 0.810
S: 0.862 0.725 0.260
S: 0.138 0.275 0.740
S: 0.903 0.969 0.342
S: 0.097 0.031 0.658
O: 0.677 0.332 0.042
O: 0.323 0.668 0.958
O: 0.061 0.434 0.281
O: 0.939 0.566 0.719
O: 0.987 0.633 0.016
O: 0.013 0.367 0.984
O: 0.128 0.915 0.045
O: 0.872 0.085 0.955
O: 0.377 0.119 0.323
O: 0.623 0.881 0.677
O: 0.984 0.217 0.155
O: 0.016 0.783 0.845
O: 0.921 0.771 0.566
O: 0.079 0.229 0.434
O: 0.328 0.974 0.516
O: 0.672 0.026 0.484
O: 0.250 0.640 0.418
O: 0.750 0.360 0.582
O: 0.716 0.238 0.316
O: 0.284 0.762 0.684
O: 0.882 0.560 0.461
O: 0.118 0.440 0.539
O: 0.379 0.425 0.420
O: 0.621 0.575 0.580
O: 0.366 0.410 0.105
O: 0.634 0.590 0.895
O: 0.250 0.627 0.193
O: 0.750 0.373 0.807
O: 0.581 0.771 0.447
O: 0.419 0.229 0.553
O: 0.746 0.826 0.972
O: 0.254 0.174 0.028
O: 0.646 0.098 0.112
O: 0.354 0.902 0.888
O: 0.428 0.892 0.177
O: 0.572 0.108 0.823
O: 0.616 0.630 0.108
O: 0.384 0.370 0.892

Computed properties:
- DFT total energy: -0.58933 Ry/atom
- Space group: P-1, No. 2
- DFT formation energy: -0.95 eV/atom
- Total energy after the MP2020 corrections: -765.798 eV per cell

[2]
Material: PH3PbCO3
Method: DFT, PBE
State: relaxed

a b c (Å): 12.159 12.159 12.159
angles (deg): 116.40 116.40 116.40
Atoms (fractional coordinates):
P: 0.728 0.876 0.387
P: 0.876 0.387 0.728
P: 0.613 0.272 0.124
P: 0.124 0.613 0.272
P: 0.272 0.124 0.613
P: 0.387 0.728 0.876
H: 0.140 0.020 0.322
H: 0.629 0.970 0.948
H: 0.030 0.052 0.371
H: 0.717 0.729 0.472
H: 0.322 0.140 0.020
H: 0.970 0.948 0.629
H: 0.948 0.629 0.970
H: 0.052 0.371 0.030
H: 0.020 0.322 0.140
H: 0.271 0.528 0.283
H: 0.283 0.271 0.528
H: 0.678 0.860 0.980
H: 0.472 0.717 0.729
H: 0.860 0.980 0.678
H: 0.729 0.472 0.717
H: 0.980 0.678 0.860
H: 0.528 0.283 0.271
H: 0.371 0.030 0.052
Pb: 0.417 0.893 0.257
Pb: 0.257 0.417 0.893
Pb: 0.893 0.257 0.417
Pb: 0.107 0.743 0.583
Pb: 0.743 0.583 0.107
Pb: 0.583 0.107 0.743
C: 0.115 0.441 0.171
C: 0.559 0.829 0.885
C: 0.171 0.115 0.441
C: 0.441 0.171 0.115
C: 0.885 0.559 0.829
C: 0.829 0.885 0.559
O: 0.300 0.534 0.793
O: 0.793 0.300 0.534
O: 0.490 0.101 0.906
O: 0.203 0.655 0.715
O: 0.906 0.490 0.101
O: 0.345 0.285 0.797
O: 0.101 0.906 0.490
O: 0.655 0.715 0.203
O: 0.285 0.797 0.345
O: 0.094 0.510 0.899
O: 0.207 0.700 0.466
O: 0.715 0.203 0.655
O: 0.510 0.899 0.094
O: 0.466 0.207 0.700
O: 0.534 0.793 0.300
O: 0.700 0.466 0.207
O: 0.797 0.345 0.285
O: 0.899 0.094 0.510

Computed properties:
- DFT total energy: -0.43769 Ry/atom
- Space group: R-3, No. 148
- DFT formation energy: -1.36 eV/atom
- Total energy after the MP2020 corrections: -333.941 eV per cell

[3]
Material: PrPH5CO7
Method: DFT, PBE
State: relaxed

a b c (Å): 6.762 7.146 7.844
angles (deg): 110.54 95.80 89.50
Atoms (fractional coordinates):
Pr: 0.132 0.223 0.935
Pr: 0.868 0.777 0.065
P: 0.676 0.254 0.018
P: 0.324 0.746 0.982
H: 0.551 0.159 0.436
H: 0.449 0.841 0.564
H: 0.714 0.667 0.637
H: 0.286 0.333 0.363
H: 0.832 0.482 0.670
H: 0.628 0.291 0.198
H: 0.168 0.518 0.330
H: 0.466 0.256 0.624
H: 0.372 0.709 0.802
H: 0.534 0.744 0.376
C: 0.065 0.911 0.501
C: 0.935 0.089 0.499
O: 0.819 0.425 0.025
O: 0.826 0.071 0.353
O: 0.174 0.929 0.647
O: 0.432 0.222 0.492
O: 0.793 0.622 0.728
O: 0.207 0.378 0.272
O: 0.198 0.937 0.037
O: 0.481 0.235 0.896
O: 0.802 0.063 0.963
O: 0.945 0.241 0.646
O: 0.519 0.765 0.104
O: 0.181 0.575 0.975
O: 0.568 0.778 0.508
O: 0.055 0.759 0.354

Computed properties:
- DFT total energy: -0.47103 Ry/atom
- Space group: P-1, No. 2
- DFT formation energy: -1.99 eV/atom
- Total energy after the MP2020 corrections: -201.879 eV per cell

[4]
Material: PuP2H2CO6
Method: DFT, PBE
State: relaxed

a b c (Å): 5.420 8.043 8.122
angles (deg): 114.32 102.13 104.45
Atoms (fractional coordinates):
Pu: 0.767 0.767 0.533
Pu: 0.233 0.233 0.467
P: 0.735 0.367 0.233
P: 0.502 0.134 0.767
P: 0.265 0.633 0.767
P: 0.498 0.866 0.233
H: 0.335 0.097 0.000
H: 0.665 0.903 0.000
H: 0.340 0.318 0.000
H: 0.660 0.682 0.000
C: 0.463 0.227 0.000
C: 0.537 0.773 0.000
O: 0.411 0.609 0.617
O: 0.793 0.992 0.383
O: 0.589 0.391 0.383
O: 0.207 0.008 0.617
O: 0.877 0.583 0.282
O: 0.595 0.301 0.718
O: 0.123 0.417 0.718
O: 0.405 0.699 0.282
O: 0.069 0.740 0.756
O: 0.312 0.983 0.244
O: 0.931 0.260 0.244
O: 0.688 0.017 0.756

Computed properties:
- DFT total energy: -0.56933 Ry/atom
- Space group: C2/m, No. 12
- DFT formation energy: -2.19 eV/atom
- Total energy after the MP2020 corrections: -194.150 eV per cell

[5]
Material: PuP2H4CO7
Method: DFT, PBE
State: relaxed

a b c (Å): 8.847 8.869 9.753
angles (deg): 71.11 71.74 81.70
Atoms (fractional coordinates):
Pu: 0.687 0.947 0.220
Pu: 0.313 0.053 0.780
Pu: 0.173 0.424 0.222
Pu: 0.827 0.576 0.778
P: 0.520 0.271 0.384
P: 0.480 0.729 0.616
P: 0.275 0.022 0.185
P: 0.725 0.978 0.815
P: 0.981 0.230 0.629
P: 0.019 0.770 0.371
P: 0.229 0.462 0.830
P: 0.771 0.538 0.170
H: 0.718 0.219 0.621
H: 0.282 0.781 0.379
H: 0.846 0.073 0.549
H: 0.154 0.927 0.451
H: 0.697 0.415 0.433
H: 0.303 0.585 0.567
H: 0.540 0.538 0.372
H: 0.460 0.462 0.628
H: 0.931 0.192 0.956
H: 0.069 0.808 0.044
H: 0.369 0.745 0.081
H: 0.631 0.255 0.919
H: 0.502 0.603 0.081
H: 0.498 0.397 0.919
H: 0.963 0.188 0.109
H: 0.037 0.812 0.891
C: 0.813 0.128 0.641
C: 0.187 0.872 0.359
C: 0.630 0.444 0.349
C: 0.370 0.556 0.651
O: 0.078 0.664 0.265
O: 0.922 0.336 0.735
O: 0.387 0.325 0.306
O: 0.613 0.675 0.694
O: 0.448 0.029 0.187
O: 0.552 0.971 0.813
O: 0.936 0.454 0.171
O: 0.064 0.546 0.829
O: 0.730 0.027 0.950
O: 0.270 0.973 0.050
O: 0.039 0.329 0.462
O: 0.961 0.671 0.538
O: 0.891 0.894 0.323
O: 0.109 0.106 0.677
O: 0.179 0.181 0.194
O: 0.821 0.819 0.806
O: 0.768 0.714 0.167
O: 0.232 0.286 0.833
O: 0.894 0.151 0.066
O: 0.106 0.849 0.934
O: 0.283 0.475 0.961
O: 0.717 0.525 0.039
O: 0.549 0.787 0.442
O: 0.451 0.213 0.558
O: 0.391 0.632 0.131
O: 0.609 0.368 0.869
O: 0.636 0.144 0.327
O: 0.364 0.856 0.673

Computed properties:
- DFT total energy: -0.52896 Ry/atom
- Space group: P-1, No. 2
- DFT formation energy: -2.02 eV/atom
- Total energy after the MP2020 corrections: -451.049 eV per cell

[6]
Material: PuP2H4CO7
Method: DFT, PBE
State: relaxed

a b c (Å): 8.796 11.418 13.864
angles (deg): 90.00 90.00 90.00
Atoms (fractional coordinates):
Pu: 0.338 0.275 0.647
Pu: 0.838 0.225 0.353
Pu: 0.662 0.775 0.853
Pu: 0.162 0.725 0.147
Pu: 0.662 0.725 0.353
Pu: 0.162 0.775 0.647
Pu: 0.338 0.225 0.147
Pu: 0.838 0.275 0.853
P: 0.000 0.474 0.675
P: 0.500 0.026 0.325
P: 0.000 0.974 0.825
P: 0.500 0.526 0.175
P: 0.000 0.526 0.325
P: 0.500 0.974 0.675
P: 0.000 0.026 0.175
P: 0.500 0.474 0.825
P: 0.753 0.306 0.598
P: 0.253 0.194 0.402
P: 0.247 0.806 0.902
P: 0.747 0.694 0.098
P: 0.247 0.694 0.402
P: 0.747 0.806 0.598
P: 0.753 0.194 0.098
P: 0.253 0.306 0.902
H: 0.751 0.513 0.622
H: 0.251 0.987 0.378
H: 0.249 0.013 0.878
H: 0.749 0.487 0.122
H: 0.249 0.487 0.378
H: 0.749 0.013 0.622
H: 0.751 0.987 0.122
H: 0.251 0.513 0.878
H: 0.865 0.476 0.522
H: 0.365 0.024 0.478
H: 0.135 0.976 0.978
H: 0.635 0.524 0.022
H: 0.135 0.524 0.478
H: 0.635 0.976 0.522
H: 0.865 0.024 0.022
H: 0.365 0.476 0.978
H: 0.101 0.072 0.646
H: 0.601 0.428 0.354
H: 0.899 0.572 0.854
H: 0.399 0.928 0.146
H: 0.899 0.928 0.354
H: 0.399 0.572 0.646
H: 0.101 0.428 0.146
H: 0.601 0.072 0.854
H: 0.079 0.154 0.549
H: 0.579 0.346 0.451
H: 0.921 0.654 0.951
H: 0.421 0.846 0.049
H: 0.921 0.846 0.451
H: 0.421 0.654 0.549
H: 0.079 0.346 0.049
H: 0.579 0.154 0.951
C: 0.838 0.451 0.597
C: 0.338 0.049 0.403
C: 0.162 0.951 0.903
C: 0.662 0.549 0.097
C: 0.162 0.549 0.403
C: 0.662 0.951 0.597
C: 0.838 0.049 0.097
C: 0.338 0.451 0.903
O: 0.947 0.447 0.778
O: 0.447 0.053 0.222
O: 0.053 0.947 0.722
O: 0.553 0.553 0.278
O: 0.053 0.553 0.222
O: 0.553 0.947 0.778
O: 0.947 0.053 0.278
O: 0.447 0.447 0.722
O: 0.044 0.605 0.665
O: 0.544 0.895 0.335
O: 0.956 0.105 0.835
O: 0.456 0.395 0.165
O: 0.956 0.395 0.335
O: 0.456 0.105 0.665
O: 0.044 0.895 0.165
O: 0.544 0.605 0.835
O: 0.135 0.398 0.641
O: 0.635 0.102 0.359
O: 0.865 0.898 0.859
O: 0.365 0.602 0.141
O: 0.865 0.602 0.359
O: 0.365 0.898 0.641
O: 0.135 0.102 0.141
O: 0.635 0.398 0.859
O: 0.783 0.251 0.698
O: 0.283 0.249 0.302
O: 0.217 0.751 0.802
O: 0.717 0.749 0.198
O: 0.217 0.749 0.302
O: 0.717 0.751 0.698
O: 0.783 0.249 0.198
O: 0.283 0.251 0.802
O: 0.826 0.230 0.517
O: 0.326 0.270 0.483
O: 0.174 0.730 0.983
O: 0.674 0.770 0.017
O: 0.174 0.770 0.483
O: 0.674 0.730 0.517
O: 0.826 0.270 0.017
O: 0.326 0.230 0.983
O: 0.582 0.320 0.578
O: 0.082 0.180 0.422
O: 0.418 0.820 0.922
O: 0.918 0.680 0.078
O: 0.418 0.680 0.422
O: 0.918 0.820 0.578
O: 0.582 0.180 0.078
O: 0.082 0.320 0.922
O: 0.134 0.144 0.612
O: 0.634 0.356 0.388
O: 0.866 0.644 0.888
O: 0.366 0.856 0.112
O: 0.866 0.856 0.388
O: 0.366 0.644 0.612
O: 0.134 0.356 0.112
O: 0.634 0.144 0.888

Computed properties:
- DFT total energy: -0.52904 Ry/atom
- Space group: Pbca, No. 61
- DFT formation energy: -2.02 eV/atom
- Total energy after the MP2020 corrections: -902.224 eV per cell